No. 1
The following is a PBE-GGA calculation of a relaxed GePb5O7 crystal, from Materials Project.

Cell: 9.5588 11.8816 17.6647 Å, 90.00 90.00 90.00°
Closest atoms and distances in Å follow each position.
Space group Pbca (No. 61)
Symmetry-distinct sites (fractional):
Ge 0.0125 0.1884 0.0999 (multiplicity 8)  4 O 1.77-1.80
Pb 0.0141 0.6130 0.0730 (multiplicity 8)  3 O 2.31-2.40
Pb 0.0197 0.5822 0.7702 (multiplicity 8)  3 O 2.24-2.36
Pb 0.2037 0.0778 0.9188 (multiplicity 8)  3 O 2.28-2.47
Pb 0.2085 0.6141 0.5764 (multiplicity 8)  3 O 2.29-2.37
Pb 0.2428 0.6516 0.2430 (multiplicity 8)  3 O 2.24-2.35
O 0.0347 0.1202 0.1898 (multiplicity 8)  1 Ge 1.80
O 0.0685 0.6777 0.8840 (multiplicity 8)  1 Ge 1.79
O 0.0922 0.6009 0.4581 (multiplicity 8)  1 Ge 1.77
O 0.1450 0.5157 0.1687 (multiplicity 8)  3 Pb 2.24-2.40
O 0.1477 0.0085 0.5012 (multiplicity 8)  4 Pb 2.28-2.38
O 0.1722 0.0319 0.3298 (multiplicity 8)  3 Pb 2.24-2.36
O 0.1793 0.2148 0.0567 (multiplicity 8)  1 Ge 1.79

Summary:
The theoretical density is 8.08 g/cm3. As for the formation energy: -158.4 kJ per mole of atoms. The calculation puts the total magnetization at 0.0 μB/f.u.



No. 2
The following is a PBE-GGA calculation of a relaxed GePb3O5 crystal, from Materials Project.

Cell: 5.3964 10.6345 5.6180 Å, 90.00 93.28 90.00°
Closest atoms and distances in Å follow each position.
Space group P2_1 (No. 4)
Symmetry-distinct sites (fractional):
Ge 0.0239 0.0000 0.4525 (multiplicity 2)  4 O 1.77-1.80
Pb 0.0245 0.7580 0.9521 (multiplicity 2)  3 O 2.24-2.44
Pb 0.4836 0.2732 0.4988 (multiplicity 2)  3 O 2.33-2.50
Pb 0.4954 0.0040 0.9874 (multiplicity 2)  3 O 2.26-2.48
O 0.0718 0.1645 0.4716 (multiplicity 2)  1 Ge 1.77
O 0.1628 0.9382 0.1941 (multiplicity 2)  1 Ge 1.80
O 0.1721 0.9181 0.7001 (multiplicity 2)  1 Ge 1.79
O 0.3005 0.4661 0.5852 (multiplicity 2)  1 Ge 1.79
O 0.3793 0.3066 0.0956 (multiplicity 2)  3 Pb 2.24-2.33

Summary:
The theoretical density is 7.99 g/cm3. The calculation puts the polymorph energy (0 for the lowest one) at 0 meV/atom. As for the formation energy: -166.5 kJ per mole of atoms.



No. 3
The following is a PBE-GGA calculation of a relaxed Ge3Pb3O10 crystal, from Materials Project.

Cell: 7.4075 9.5017 9.5018 Å, 113.53 105.04 105.03°
Closest atoms and distances in Å follow each position.
Space group P1 (No. 1)
Symmetry-distinct sites (fractional):
Ge 0.0000 0.0000 0.0000 (multiplicity 1)  4 O 1.76-1.80
Ge 0.0430 0.7359 0.5285 (multiplicity 1)  4 O 1.76-1.80
Ge 0.1752 0.2644 0.3964 (multiplicity 1)  4 O 1.76-1.80
Ge 0.2642 0.1321 0.6604 (multiplicity 1)  4 O 1.76-1.80
Ge 0.7786 0.6038 0.8680 (multiplicity 1)  4 O 1.76-1.80
Ge 0.8676 0.4716 0.1320 (multiplicity 1)  4 O 1.76-1.80
Pb 0.2268 0.5639 0.7971 (multiplicity 1)  4 O 2.30-2.57
Pb 0.3483 0.4003 0.1012 (multiplicity 1)  4 O 2.30-2.56
Pb 0.5119 0.0309 0.9599 (multiplicity 1)  4 O 2.30-2.56
Pb 0.5317 0.7051 0.5688 (multiplicity 1)  4 O 2.30-2.56
Pb 0.6943 0.3350 0.4269 (multiplicity 1)  4 O 2.30-2.56
Pb 0.8159 0.1721 0.7311 (multiplicity 1)  4 O 2.30-2.56
O 0.0437 0.9369 0.5662 (multiplicity 1)  2 Ge 1.79-1.80
O 0.0575 0.3723 0.5135 (multiplicity 1)  1 Ge 1.76
O 0.0678 0.6345 0.3329 (multiplicity 1)  2 Ge 1.79-1.80
O 0.2040 0.2879 0.7928 (multiplicity 1)  1 Ge 1.77
O 0.2346 0.1167 0.0090 (multiplicity 1)  1 Ge 1.76
O 0.2589 0.7595 0.6843 (multiplicity 1)  1 Ge 1.77
O 0.3014 0.1700 0.4973 (multiplicity 1)  2 Ge 1.79-1.80
O 0.3677 0.3968 0.3730 (multiplicity 1)  1 Ge 1.77
O 0.4331 0.8592 0.2629 (multiplicity 1)  1 O 1.24
O 0.4897 0.1229 0.7683 (multiplicity 1)  1 Ge 1.76
O 0.5531 0.6127 0.7599 (multiplicity 1)  1 Ge 1.76
O 0.6008 0.8583 0.2650 (multiplicity 1)  1 O 1.24
O 0.6752 0.3394 0.1556 (multiplicity 1)  1 Ge 1.77
O 0.7413 0.5659 0.0310 (multiplicity 1)  2 Ge 1.79-1.80
O 0.7843 0.9766 0.8440 (multiplicity 1)  1 Ge 1.77
O 0.8087 0.6188 0.5197 (multiplicity 1)  1 Ge 1.76
O 0.8388 0.4479 0.7356 (multiplicity 1)  1 Ge 1.77
O 0.9749 0.1016 0.1954 (multiplicity 1)  2 Ge 1.79-1.80
O 0.9850 0.3634 0.0148 (multiplicity 1)  1 Ge 1.76
O 0.9991 0.7990 0.9622 (multiplicity 1)  2 Ge 1.79-1.80

Summary:
The theoretical density is 6.15 g/cm3. As for the formation energy: -146.7 kJ per mole of atoms. The calculation puts the total magnetization at 1.0 μB/f.u.



No. 4
The following is a PBE-GGA calculation of a relaxed Ge3Pb5O12 crystal, from Materials Project.

Cell: 10.2796 10.2796 7.2774 Å, 90.00 90.00 120.00°
Closest atoms and distances in Å follow each position.
Space group P6_3/m (No. 176)
Symmetry-distinct sites (fractional):
Ge 0.0180 0.6243 0.2500 (multiplicity 6)  4 O 1.78-1.80
Pb 0.0144 0.2660 0.2500 (multiplicity 6)  3 O 2.26-2.48
Pb 0.3333 0.6667 0.5066 (multiplicity 4)  3 O 2.43
O 0.0918 0.7502 0.0614 (multiplicity 12)  1 Ge 1.78
O 0.1136 0.5175 0.2500 (multiplicity 6)  1 Ge 1.80
O 0.1799 0.4971 0.7500 (multiplicity 6)  1 Ge 1.78

Summary:
The theoretical density is 7.21 g/cm3. As for the formation energy: -165.6 kJ per mole of atoms. The calculation puts the total magnetization at 0.0 μB/f.u.



No. 5
The following is a PBE-GGA calculation of a relaxed Ge3Pb11O17 crystal, from Materials Project.

Cell: 7.4877 20.2639 22.6186 Å, 92.38 95.15 97.45°
Closest atoms and distances in Å follow each position.
Space group P-1 (No. 2)
Symmetry-distinct sites (fractional):
Ge 0.0179 0.1102 0.4172 (multiplicity 2)  4 O 1.78-1.79
Ge 0.0494 0.3050 0.1499 (multiplicity 2)  4 O 1.76-1.80
Ge 0.0918 0.8242 0.1463 (multiplicity 2)  4 O 1.77-1.82
Ge 0.2614 0.8409 0.8554 (multiplicity 2)  4 O 1.76-1.80
Ge 0.2822 0.3599 0.8504 (multiplicity 2)  4 O 1.77-1.82
Ge 0.3347 0.5544 0.5764 (multiplicity 2)  4 O 1.76-1.80
Ge 0.3853 0.9713 0.1455 (multiplicity 2)  4 O 1.76-1.81
Ge 0.3873 0.7778 0.4233 (multiplicity 2)  4 O 1.75-1.81
Ge 0.4200 0.4935 0.1547 (multiplicity 2)  4 O 1.77-1.83
Pb 0.0127 0.3777 0.5721 (multiplicity 2)  4 O 2.27-2.54
Pb 0.0226 0.2134 0.2883 (multiplicity 2)  2 O 2.24-2.30
Pb 0.0650 0.7138 0.2819 (multiplicity 2)  3 O 2.25-2.44
Pb 0.0846 0.2026 0.5747 (multiplicity 2)  3 O 2.27-2.35
Pb 0.0854 0.4178 0.0076 (multiplicity 2)  3 O 2.32-2.41
Pb 0.0885 0.5193 0.8629 (multiplicity 2)  2 O 2.22-2.42
Pb 0.0893 0.9185 0.0022 (multiplicity 2)  3 O 2.31-2.38
Pb 0.0917 0.1168 0.7188 (multiplicity 2)  3 O 2.24-2.40
Pb 0.1299 0.0154 0.8634 (multiplicity 2)  3 O 2.21-2.32
Pb 0.1435 0.4562 0.4245 (multiplicity 2)  3 O 2.29-2.42
Pb 0.1600 0.6222 0.7201 (multiplicity 2)  4 O 2.29-2.55
Pb 0.1802 0.7256 0.5866 (multiplicity 2)  3 O 2.36-2.43
Pb 0.1925 0.5394 0.2780 (multiplicity 2)  4 O 2.27-2.41
Pb 0.2062 0.0463 0.2732 (multiplicity 2)  4 O 2.29-2.53
Pb 0.2124 0.6484 0.1361 (multiplicity 2)  3 O 2.21-2.43
Pb 0.2170 0.9534 0.4147 (multiplicity 2)  4 O 2.29-2.53
Pb 0.2478 0.1498 0.1347 (multiplicity 2)  3 O 2.22-2.43
Pb 0.2478 0.2509 0.9920 (multiplicity 2)  3 O 2.29-2.50
Pb 0.2549 0.7485 0.9975 (multiplicity 2)  3 O 2.31-2.39
Pb 0.2784 0.0452 0.5582 (multiplicity 2)  3 O 2.24-2.30
Pb 0.2891 0.4547 0.7039 (multiplicity 2)  3 O 2.21-2.38
Pb 0.3009 0.9519 0.7140 (multiplicity 2)  3 O 2.24-2.46
Pb 0.3324 0.3706 0.3012 (multiplicity 2)  2 O 2.26-2.38
Pb 0.3337 0.2745 0.4423 (multiplicity 2)  3 O 2.25-2.34
Pb 0.3882 0.2898 0.7013 (multiplicity 2)  5 O 2.40-2.57
Pb 0.4115 0.5838 0.0049 (multiplicity 2)  3 O 2.30-2.36
Pb 0.4136 0.0869 0.0066 (multiplicity 2)  3 O 2.34-2.44
Pb 0.4190 0.8846 0.2943 (multiplicity 2)  3 O 2.26-2.41
Pb 0.4209 0.1964 0.8621 (multiplicity 2)  3 O 2.24-2.49
Pb 0.4476 0.6112 0.4208 (multiplicity 2)  4 O 2.31-2.51
Pb 0.4490 0.6765 0.8631 (multiplicity 2)  3 O 2.21-2.37
Pb 0.4866 0.7878 0.7215 (multiplicity 2)  4 O 2.29-2.44
Pb 0.4870 0.8773 0.5785 (multiplicity 2)  3 O 2.30-2.50
O 0.0524 0.6337 0.8886 (multiplicity 2)  1 Ge 1.76
O 0.0665 0.3169 0.2290 (multiplicity 2)  1 Ge 1.78
O 0.0764 0.0966 0.6044 (multiplicity 2)  3 Pb 2.25-2.29
O 0.0908 0.7734 0.8692 (multiplicity 2)  2 Ge 1.80
O 0.0948 0.8220 0.2247 (multiplicity 2)  1 Ge 1.77
O 0.1026 0.9437 0.5358 (multiplicity 2)  1 Ge 1.78
O 0.1047 0.3903 0.8859 (multiplicity 2)  1 Ge 1.78
O 0.1079 0.2163 0.6788 (multiplicity 2)  4 Pb 2.24-2.41
O 0.1142 0.4344 0.3179 (multiplicity 2)  4 Pb 2.26-2.42
O 0.1239 0.1794 0.8932 (multiplicity 2)  1 Ge 1.77
O 0.1294 0.0251 0.9611 (multiplicity 2)  4 Pb 2.21-2.44
O 0.1376 0.5228 0.9612 (multiplicity 2)  4 Pb 2.22-2.41
O 0.1396 0.8491 0.6278 (multiplicity 2)  1 Ge 1.79
O 0.1418 0.0603 0.3730 (multiplicity 2)  1 Ge 1.79
O 0.1545 0.3518 0.6633 (multiplicity 2)  4 Pb 2.31-2.44
O 0.1655 0.2929 0.3584 (multiplicity 2)  3 Pb 2.25-2.38
O 0.1671 0.5576 0.3826 (multiplicity 2)  4 Pb 2.27-2.41
O 0.1672 0.9088 0.8867 (multiplicity 2)  1 Ge 1.77
O 0.1846 0.1455 0.0369 (multiplicity 2)  4 Pb 2.22-2.41
O 0.1866 0.9416 0.3102 (multiplicity 2)  4 Pb 2.26-2.35
O 0.1882 0.1685 0.4592 (multiplicity 2)  1 Ge 1.79
O 0.1901 0.9078 0.1308 (multiplicity 2)  2 Ge 1.81-1.82
O 0.1919 0.6420 0.0379 (multiplicity 2)  4 Pb 2.21-2.39
O 0.2008 0.3118 0.7840 (multiplicity 2)  1 Ge 1.77
O 0.2062 0.7308 0.6914 (multiplicity 2)  4 Pb 2.24-2.36
O 0.2223 0.7659 0.1165 (multiplicity 2)  1 Ge 1.78
O 0.2324 0.5162 0.1098 (multiplicity 2)  1 Ge 1.78
O 0.2412 0.4755 0.6011 (multiplicity 2)  1 Ge 1.79
O 0.2474 0.6178 0.6191 (multiplicity 2)  1 Ge 1.80
O 0.2506 0.2851 0.1218 (multiplicity 2)  1 Ge 1.77
O 0.2610 0.6978 0.3990 (multiplicity 2)  1 Ge 1.81
O 0.2719 0.5580 0.4998 (multiplicity 2)  1 Ge 1.76
O 0.2885 0.8464 0.7791 (multiplicity 2)  1 Ge 1.76
O 0.2942 0.8406 0.3816 (multiplicity 2)  1 Ge 1.79
O 0.3020 0.0373 0.1084 (multiplicity 2)  1 Ge 1.76
O 0.3608 0.4674 0.2249 (multiplicity 2)  1 Ge 1.77
O 0.3799 0.7918 0.4998 (multiplicity 2)  1 Ge 1.75
O 0.3916 0.2305 0.5997 (multiplicity 2)  1 Ge 1.81
O 0.4178 0.0267 0.6465 (multiplicity 2)  3 Pb 2.24-2.34
O 0.4203 0.4311 0.8239 (multiplicity 2)  2 Ge 1.82-1.83
O 0.4242 0.3150 0.8958 (multiplicity 2)  1 Ge 1.77
O 0.4269 0.4333 0.4021 (multiplicity 2)  1 Ge 1.79
O 0.4303 0.0618 0.8835 (multiplicity 2)  1 Ge 1.78
O 0.4368 0.9881 0.2239 (multiplicity 2)  1 Ge 1.79
O 0.4561 0.5626 0.8824 (multiplicity 2)  1 Ge 1.78
O 0.4600 0.8216 0.8965 (multiplicity 2)  1 Ge 1.78
O 0.4615 0.6858 0.9610 (multiplicity 2)  3 Pb 2.21-2.33
O 0.4691 0.1933 0.9610 (multiplicity 2)  4 Pb 2.24-2.43
O 0.4687 0.5913 0.3157 (multiplicity 2)  3 Pb 2.21-2.42
O 0.4769 0.1052 0.3107 (multiplicity 2)  4 Pb 2.24-2.50
O 0.4812 0.7735 0.6164 (multiplicity 2)  4 Pb 2.28-2.38

Summary:
The theoretical density is 8.15 g/cm3. As for the formation energy: -162.6 kJ per mole of atoms. The calculation puts the total magnetization at 0.0 μB/f.u.